(1)
A geometry-optimized DyAlCo4 structure, computed with PBE.

abc: 4.987 4.987 4.045
angles: 90.00 90.00 121.04
Element x y z (fractional)
Dy 0.000 0.000 0.000
Al 0.500 0.500 0.500
Co 0.000 0.500 0.500
Co 0.328 0.672 0.000
Co 0.500 0.000 0.500
Co 0.672 0.328 0.000

## Properties
**DFT total energy**: -6.38 eV/atom


(2)
A geometry-optimized Dy2AlCo2 structure, computed with PBE.

abc: 5.392 5.392 5.392
angles: 136.25 119.05 78.00
Element x y z (fractional)
Dy 0.204 0.204 0.000
Dy 0.796 0.796 0.000
Al 0.500 0.000 0.500
Co 0.223 0.500 0.723
Co 0.777 0.500 0.277

## Properties
**DFT total energy**: -5.83 eV/atom


(3)
A geometry-optimized ErAlCo structure, computed with PBE.

abc: 8.356 5.289 5.289
angles: 60.89 90.00 90.00
Element x y z (fractional)
Er 0.175 0.000 0.000
Er 0.297 0.663 0.663
Er 0.703 0.663 0.663
Er 0.825 0.000 0.000
Al 0.228 0.326 0.326
Al 0.500 0.164 0.669
Al 0.500 0.669 0.164
Al 0.772 0.326 0.326
Co 0.000 0.503 0.503
Co 0.000 0.504 0.972
Co 0.000 0.972 0.504
Co 0.500 0.163 0.163

## Properties
**DFT total energy**: -5.54 eV/atom